--- A ---
72
Lattice="8.805 0.000 0.000 0.000 8.615 0.000 0.000 8.449 12.309" Properties=species:S:1:pos:R:3 comment="PBE LiSn2P3O12, optimized geometry" crystal_system=monoclinic spacegroup="P2_1/c (14)" magnetic_moment_mub_per_cell=0.0 vol_a3_per_cell=933.62 pbc="T T T"
Li 0.846 7.857 8.576
Li 5.248 13.431 9.887
Li 3.557 3.632 2.422
Li 7.959 9.207 3.733
Sn 4.688 6.411 7.457
Sn 4.135 6.511 1.422
Sn 0.286 14.877 11.006
Sn 8.538 6.328 4.732
Sn 0.267 10.735 7.577
Sn 8.519 2.187 1.303
Sn 4.669 10.553 10.886
Sn 4.117 10.653 4.852
P 2.178 8.196 6.098
P 0.988 7.664 1.818
P 3.399 7.501 10.452
P 7.802 13.787 8.012
P 5.390 5.175 4.336
P 6.581 4.643 0.057
P 2.224 12.421 12.252
P 3.415 11.889 7.972
P 1.003 3.277 4.297
P 5.405 9.563 1.857
P 7.817 9.400 10.491
P 6.626 8.868 6.211
O 7.697 8.132 5.345
O 5.092 8.104 2.225
O 7.833 7.914 10.923
O 6.054 7.968 7.317
O 3.207 7.749 7.164
O 0.044 7.535 3.055
O 1.871 7.327 10.154
O 3.666 15.809 11.920
O 2.408 7.236 2.239
O 1.542 6.941 5.477
O 0.470 6.738 0.700
O 4.254 15.164 9.553
O 8.657 6.124 8.910
O 4.872 6.101 5.455
O 5.945 5.898 0.677
O 6.810 5.603 3.915
O 8.069 5.480 6.543
O 6.273 13.961 8.309
O 4.447 5.304 3.099
O 7.610 13.539 11.299
O 1.651 13.321 11.146
O 3.431 13.375 7.540
O 0.689 4.735 3.929
O 3.295 4.707 0.809
O 5.510 12.357 11.500
O 8.115 12.329 8.379
O 5.374 3.689 4.769
O 7.153 3.743 1.163
O 1.195 3.525 1.010
O 4.358 11.759 9.209
O 2.532 3.102 4.000
O 0.736 11.584 5.766
O 1.995 11.461 8.393
O 2.860 11.166 11.632
O 3.933 10.963 6.854
O 0.148 10.940 3.399
O 4.550 1.899 2.755
O 8.335 10.325 11.609
O 7.263 10.122 6.831
O 6.397 9.827 10.070
O 5.139 1.255 0.389
O 6.934 9.737 2.154
O 8.760 9.529 9.254
O 5.597 9.315 5.144
O 2.751 9.096 4.992
O 0.972 9.150 1.386
O 3.713 8.960 10.084
O 1.108 8.932 6.963


--- B ---
36
Lattice="-1.742 -0.894 -8.323 8.072 -0.849 2.732 -5.864 -6.569 1.982" Properties=species:S:1:pos:R:3 comment="PBE LiSn2P3O12, optimized geometry" crystal_system=triclinic spacegroup="P-1 (2)" magnetic_moment_mub_per_cell=0.0 vol_a3_per_cell=483.04 pbc="T T T"
Li -1.832 -3.685 -4.918
Li 2.298 -4.627 1.310
Sn 2.697 -4.147 -2.324
Sn -0.201 -1.389 -6.486
Sn 0.666 -6.923 2.878
Sn -2.232 -4.164 -1.284
P -4.429 -4.985 1.185
P 0.583 -5.950 -0.408
P 4.894 -3.327 -4.793
P -0.117 -2.362 -3.200
P -3.327 -5.816 -3.965
P 3.792 -2.496 0.357
O 4.152 -3.800 1.150
O 3.570 -3.416 -4.017
O -1.972 -2.522 -6.525
O 0.064 -2.475 -4.742
O -0.397 -0.917 -2.776
O -3.687 -4.512 -4.758
O 0.401 -5.837 1.134
O -1.240 -2.760 -0.179
O 0.863 -7.394 -0.832
O -3.230 -5.529 -2.450
O 4.928 -1.977 -5.534
O -4.462 -6.334 1.926
O 1.706 -5.552 -3.429
O 3.696 -2.783 -1.158
O -3.104 -4.896 0.409
O 2.396 -2.153 0.942
O -0.656 -5.457 -1.154
O 1.831 -5.019 -0.633
O -1.930 -6.159 -4.550
O 2.437 -5.790 2.917
O 1.121 -2.855 -2.454
O -1.366 -3.293 -2.975
O -4.329 -6.941 -4.177
O 4.795 -1.371 0.569


Relative energies, unit kJ/mol of atoms: A 0.5; B 0.0


--- A ---
48
Lattice="-10.684 3.935 2.828 -2.147 -5.938 0.148 0.692 -3.758 7.844" Properties=species:S:1:pos:R:3 comment="PBE CaB3O8, optimized geometry" crystal_system=monoclinic spacegroup="P2_1/c (14)" magnetic_moment_mub_per_cell=16.0 vol_a3_per_cell=592.78 pbc="T T T"
Ca -3.549 -1.343 1.659
Ca -9.390 -2.372 5.359
Ca -8.590 -4.419 9.161
Ca -2.749 -3.389 5.461
B -4.338 -6.582 7.498
B -8.581 -0.644 7.542
B -7.801 0.820 3.322
B -3.559 -5.117 3.278
B -4.978 -6.276 5.099
B -8.136 -0.878 9.992
B -7.162 0.515 5.721
B -4.004 -4.883 0.828
B -5.638 -4.550 6.833
B -10.386 -1.532 9.029
B -6.501 -1.211 3.987
B -1.753 -4.229 1.791
O -3.837 -5.463 4.570
O -8.341 1.468 2.247
O -8.302 -0.298 6.250
O -3.799 -7.229 8.573
O -4.458 -7.109 6.246
O -7.788 -0.364 8.616
O -7.681 1.348 4.574
O -4.351 -5.397 2.204
O -3.270 -1.311 3.973
O -10.241 -2.193 3.197
O -8.869 -4.450 6.848
O -1.899 -3.568 7.623
O -4.706 -5.265 7.755
O -9.740 -1.399 7.689
O -7.434 -0.496 3.065
O -2.399 -4.363 3.131
O -5.958 -5.299 5.608
O -9.602 -0.955 10.131
O -6.182 -0.463 5.213
O -2.538 -4.807 0.689
O -6.800 -4.138 7.593
O -1.053 -4.954 6.106
O -5.340 -1.623 3.228
O -11.087 -0.808 4.714
O -5.011 -3.365 6.331
O -10.477 -2.915 9.389
O -7.128 -2.396 4.489
O -1.663 -2.847 1.431
O -5.274 1.517 1.826
O -12.346 -3.508 6.432
O -6.865 -7.278 8.994
O 0.207 -2.253 4.388


--- B ---
48
Lattice="11.537 0.000 0.000 0.000 5.951 0.000 0.000 2.778 8.214" Properties=species:S:1:pos:R:3 comment="PBE CaB3O8, optimized geometry" crystal_system=monoclinic spacegroup="P2_1/c (14)" magnetic_moment_mub_per_cell=12.0 vol_a3_per_cell=563.90 pbc="T T T"
Ca 2.408 3.404 5.222
Ca 8.176 6.713 7.099
Ca 9.129 5.324 2.992
Ca 3.361 2.015 1.115
B 3.334 6.463 6.842
B 9.103 3.654 5.479
B 8.203 2.265 1.372
B 2.434 5.075 2.735
B 5.230 5.070 5.907
B 10.999 5.047 6.414
B 6.307 3.658 2.307
B 0.538 3.681 1.800
B 3.839 6.569 4.413
B 9.607 3.548 7.908
B 7.698 2.160 3.801
B 1.929 5.180 0.306
O 4.098 5.298 6.917
O 9.867 4.818 5.404
O 7.439 3.430 1.297
O 1.670 3.910 2.810
O 3.205 7.146 5.664
O 8.973 2.971 6.657
O 8.332 1.582 2.550
O 2.564 5.757 1.557
O 5.122 5.983 4.764
O 10.891 4.133 7.557
O 6.415 2.745 3.450
O 0.646 4.595 0.657
O 2.795 6.824 8.043
O 8.563 3.293 4.278
O 8.742 1.904 0.171
O 2.974 5.435 3.936
O 6.503 5.160 6.511
O 0.735 4.957 5.809
O 5.034 3.568 1.702
O 10.802 3.771 2.404
O 5.018 3.706 5.490
O 10.786 6.411 6.831
O 6.519 5.022 2.724
O 0.751 2.317 1.383
O 3.773 1.607 3.377
O 9.541 5.733 0.730
O 7.764 7.122 4.837
O 1.996 2.995 7.484
O 0.124 1.802 4.548
O 5.892 8.315 7.773
O 11.413 6.926 3.666
O 5.645 0.413 0.441


Relative energies, unit kJ/mol of atoms: A 0.0; B 4.9


--- A ---
24
Lattice="-2.494 2.348 5.196 -3.721 -5.724 0.692 7.673 -4.291 5.296" Properties=species:S:1:pos:R:3 comment="PBE MgSi2, optimized geometry" crystal_system=triclinic spacegroup="P1 (1)" magnetic_moment_mub_per_cell=0.0 vol_a3_per_cell=438.12 pbc="T T T"
Mg -4.014 -4.061 4.848
Mg 3.233 -2.416 5.660
Mg -0.786 -2.410 5.954
Mg 5.390 -5.463 5.567
Mg 0.486 -4.149 3.905
Mg 3.404 -4.776 8.146
Mg -3.204 -5.654 2.250
Mg 1.418 -1.789 8.290
Si -2.241 -0.020 5.608
Si 1.188 -4.067 6.787
Si -2.662 -4.008 7.366
Si 3.312 -7.273 6.742
Si 1.969 -2.325 2.154
Si 5.582 -3.261 7.125
Si -1.035 -4.163 1.403
Si -0.132 -5.746 7.913
Si -1.333 -5.285 5.700
Si 2.169 -5.975 10.274
Si -1.454 -0.809 3.481
Si 2.574 -5.358 5.293
Si -2.370 -2.987 3.024
Si 0.970 -6.955 4.320
Si 0.884 -1.287 4.055
Si 4.338 -1.861 8.609


--- B ---
24
Lattice="7.597 0.000 0.019 0.000 5.727 0.000 -0.030 0.001 9.260" Properties=species:S:1:pos:R:3 comment="PBE MgSi2, optimized geometry" crystal_system=monoclinic spacegroup="Pm (6)" magnetic_moment_mub_per_cell=0.0 vol_a3_per_cell=402.86 pbc="T T T"
Mg 1.088 4.300 1.078
Mg 6.533 1.437 5.594
Mg 2.637 4.301 3.606
Mg 4.770 1.437 8.336
Mg 2.784 1.438 3.685
Mg 4.919 4.299 8.228
Mg 1.056 1.437 0.949
Mg 6.489 4.300 5.716
Si 6.196 5.571 1.154
Si 3.960 2.720 5.895
Si 0.164 0.171 3.384
Si 2.375 3.061 8.165
Si 5.178 5.542 3.540
Si 7.390 2.704 8.042
Si 3.618 0.145 1.271
Si 1.382 3.027 5.771
Si 0.164 2.703 3.385
Si 2.374 5.540 8.164
Si 6.196 3.029 1.154
Si 3.961 0.154 5.895
Si 3.617 2.728 1.270
Si 1.382 5.574 5.771
Si 5.179 3.060 3.539
Si 7.390 0.170 8.043


--- C ---
12
Lattice="-1.012 -5.136 -0.916 -0.552 -4.048 3.400 -10.099 0.030 1.069" Properties=species:S:1:pos:R:3 comment="PBE MgSi2, optimized geometry" crystal_system=monoclinic spacegroup="C2/m (12)" magnetic_moment_mub_per_cell=0.0 vol_a3_per_cell=215.26 pbc="T T T"
Mg -7.384 -5.063 2.065
Mg -10.055 -8.166 3.132
Mg -1.607 -0.988 0.421
Mg -4.278 -4.091 1.488
Si -10.047 -5.379 2.428
Si -7.129 -8.026 2.785
Si -4.533 -1.128 0.768
Si -2.711 -7.434 2.164
Si -6.642 -2.361 1.304
Si -8.952 -1.720 1.388
Si -1.616 -3.774 1.124
Si -5.021 -6.792 2.249


--- D ---
12
Lattice="-1.475 2.175 -0.795 -5.643 -4.723 -2.453 -4.772 -0.311 8.005" Properties=species:S:1:pos:R:3 comment="PBE MgSi2, optimized geometry" crystal_system=monoclinic spacegroup="P2/m (10)" magnetic_moment_mub_per_cell=0.0 vol_a3_per_cell=197.13 pbc="T T T"
Mg -7.049 -1.043 5.486
Mg -3.053 0.462 2.189
Mg -4.841 -1.816 -0.729
Mg -8.837 -3.321 2.568
Si -4.527 -0.584 6.804
Si -6.237 -3.785 1.216
Si -2.040 -1.298 0.233
Si -6.142 -2.854 3.588
Si -5.888 -4.450 -1.252
Si -4.178 -1.249 4.337
Si -8.375 -3.736 5.319
Si -4.273 -2.180 1.965


Relative energies, unit kJ/mol of atoms: A 0.0; B 5.4; C 4.0; D 7.7


--- A ---
12
Lattice="-2.197 -0.584 2.880 -0.844 -4.488 -3.804 8.874 -3.294 5.680" Properties=species:S:1:pos:R:3 comment="PBE MgSi2, optimized geometry" crystal_system=triclinic spacegroup="P-1 (2)" magnetic_moment_mub_per_cell=0.0 vol_a3_per_cell=223.14 pbc="T T T"
Mg 4.357 -4.568 3.065
Mg 6.388 -7.327 1.913
Mg -0.555 -1.039 2.843
Mg 1.476 -3.798 1.690
Si 6.401 -6.000 4.498
Si 4.281 -5.600 0.474
Si 1.552 -2.766 4.281
Si -0.567 -2.366 0.257
Si 3.830 -2.874 5.295
Si 5.064 -4.757 6.046
Si 0.769 -3.609 -1.291
Si 2.003 -5.492 -0.540


--- B ---
12
Lattice="1.784 5.033 0.000 -1.784 5.033 0.000 0.000 2.862 11.448" Properties=species:S:1:pos:R:3 comment="PBE MgSi2, optimized geometry" crystal_system=monoclinic spacegroup="Cm (8)" magnetic_moment_mub_per_cell=0.0 vol_a3_per_cell=205.61 pbc="T T T"
Mg 0.000 8.889 1.455
Mg 0.000 7.837 10.715
Mg 0.000 9.542 6.599
Mg 0.000 3.135 4.035
Si 0.000 10.628 10.184
Si 0.000 1.931 0.375
Si 0.000 10.389 3.741
Si 0.000 2.319 6.961
Si 0.000 6.079 2.087
Si 0.000 4.031 8.876
Si 0.000 6.398 8.380
Si 0.000 6.332 5.280


Relative energies, unit kJ/mol of atoms: A 0.0; B 5.4


--- A ---
12
Lattice="-5.470 0.682 0.677 -4.769 -2.839 -0.201 -2.878 -3.431 11.463" Properties=species:S:1:pos:R:3 comment="PBE MgSi2, optimized geometry" crystal_system=monoclinic spacegroup="Cm (8)" magnetic_moment_mub_per_cell=0.0 vol_a3_per_cell=224.99 pbc="T T T"
Mg -2.776 -2.866 9.276
Mg -7.575 -1.982 1.900
Mg -8.658 -2.885 4.659
Mg -10.332 -4.084 8.129
Si -10.205 -2.641 2.443
Si -9.780 -4.629 10.757
Si -3.661 -2.370 6.581
Si -1.392 -1.216 3.766
Si -6.095 -3.912 10.821
Si -5.020 -1.195 0.783
Si -5.785 -2.489 5.365
Si -7.283 -3.232 7.148


--- B ---
24
Lattice="6.052 0.000 0.000 -0.009 7.196 0.000 -1.677 -0.315 9.748" Properties=species:S:1:pos:R:3 comment="PBE MgSi2, optimized geometry" crystal_system=triclinic spacegroup="P-1 (2)" magnetic_moment_mub_per_cell=0.0 vol_a3_per_cell=424.52 pbc="T T T"
Mg 3.702 6.146 6.146
Mg 0.542 4.974 1.181
Mg 3.714 1.360 3.901
Mg 0.761 2.572 8.450
Mg 0.664 0.736 3.601
Mg 3.823 1.908 8.567
Mg 0.651 5.521 5.847
Mg 3.604 4.310 1.298
Si 4.888 3.280 6.030
Si 1.732 2.211 1.350
Si 4.888 5.896 3.447
Si 1.913 -0.198 8.347
Si -0.523 3.602 3.718
Si 2.633 4.670 8.397
Si -0.522 0.985 6.301
Si 2.453 7.079 1.401
Si 2.491 5.813 3.566
Si -0.433 -0.258 8.892
Si 2.503 3.416 6.099
Si 5.401 2.217 1.572
Si 1.875 1.068 6.182
Si 4.799 7.140 0.856
Si 1.863 3.466 3.649
Si -1.035 4.664 8.176


Relative energies, unit kJ/mol of atoms: A 0.0; B 3.1